No. 1
# MgSi GGA-PBE relaxed
data_MgSi
_chemical_formula_sum 'Mg2 Si2'
_space_group_name_H-M_alt 'P 1 21/m 1'
_space_group_IT_number 11
_cell_length_a 4.445
_cell_length_b 3.618
_cell_length_c 5.129
_cell_angle_alpha 90.00
_cell_angle_beta 110.92
_cell_angle_gamma 90.00
loop_
_space_group_symop_operation_xyz
'x,y,z'
'-x,-y,-z'
'-x,y+1/2,-z'
'x,-y+1/2,z'
loop_
_atom_site_label
_atom_site_fract_x
_atom_site_fract_y
_atom_site_fract_z
Mg1 0.159 0.250 0.283
Si1 0.377 0.250 0.847
# DFT formation energy = 15 meV per atom



No. 2
# K2Nd4Ge4O17 GGA-PBE relaxed
data_K2Nd4Ge4O17
_chemical_formula_sum 'K4 Nd8 Ge8 O34'
_space_group_name_H-M_alt 'P 1 21/m 1'
_space_group_IT_number 11
_cell_length_a 6.885
_cell_length_b 18.462
_cell_length_c 7.104
_cell_angle_alpha 90.00
_cell_angle_beta 115.17
_cell_angle_gamma 90.00
loop_
_space_group_symop_operation_xyz
'x,y,z'
'-x,-y,-z'
'-x,y+1/2,-z'
'x,-y+1/2,z'
loop_
_atom_site_label
_atom_site_fract_x
_atom_site_fract_y
_atom_site_fract_z
K1 0.221 0.250 0.445
K2 0.227 0.250 0.997
Nd1 0.213 0.037 0.271
Nd2 0.276 0.623 0.665
Ge1 0.280 0.060 0.764
Ge2 0.295 0.657 0.132
O1 0.082 0.648 0.889
O2 0.093 0.094 0.527
O3 0.160 0.018 0.912
O4 0.179 0.750 0.545
O5 0.270 0.604 0.322
O6 0.320 0.750 0.752
O7 0.369 0.750 0.217
O8 0.383 0.144 0.302
O9 0.410 0.505 0.669
O10 0.471 0.129 0.917
# DFT formation energy = -2280 meV per atom



No. 3
# EuRuO3 GGA-PBE relaxed
data_EuRuO3
_chemical_formula_sum 'Eu1 Ru1 O3'
_space_group_name_H-M_alt 'P m -3 m'
_space_group_IT_number 221
_space_group_name_Hall '-P 4 2 3'
_cell_length_a 3.985
_cell_length_b 3.985
_cell_length_c 3.985
_cell_angle_alpha 90.00
_cell_angle_beta 90.00
_cell_angle_gamma 90.00
loop_
_atom_site_label
_atom_site_fract_x
_atom_site_fract_y
_atom_site_fract_z
Eu1 0.000 0.000 0.000
Ru1 0.500 0.500 0.500
O1 0.000 0.500 0.500
# DFT formation energy = -2167 meV per atom



No. 4
# Nd2Co2SiC GGA-PBE relaxed
data_Nd2Co2SiC
_chemical_formula_sum 'Nd4 Co4 Si2 C2'
_space_group_name_H-M_alt 'I m m m'
_space_group_IT_number 71
_space_group_name_Hall '-I 2 2'
_cell_length_a 3.920
_cell_length_b 6.024
_cell_length_c 8.955
_cell_angle_alpha 90.00
_cell_angle_beta 90.00
_cell_angle_gamma 90.00
loop_
_atom_site_label
_atom_site_fract_x
_atom_site_fract_y
_atom_site_fract_z
Nd1 0.000 0.000 0.191
Co1 0.000 0.206 0.500
Si1 0.000 0.500 0.000
C1 0.000 0.500 0.500
# DFT formation energy = -457 meV per atom



No. 5
# TbCo2B2 GGA-PBE relaxed
data_TbCo2B2
_chemical_formula_sum 'Tb2 Co4 B4'
_space_group_name_H-M_alt 'I 4/m m m'
_space_group_IT_number 139
_space_group_name_Hall '-I 4 2'
_cell_length_a 3.555
_cell_length_b 3.555
_cell_length_c 9.464
_cell_angle_alpha 90.00
_cell_angle_beta 90.00
_cell_angle_gamma 90.00
loop_
_atom_site_label
_atom_site_fract_x
_atom_site_fract_y
_atom_site_fract_z
Tb1 0.000 0.000 0.000
Co1 0.000 0.500 0.250
B1 0.000 0.000 0.347
# DFT formation energy = -557 meV per atom



No. 6
# La10S19 GGA-PBE relaxed
data_La10S19
_chemical_formula_sum 'La20 S38'
_space_group_name_H-M_alt 'P 42/n'
_space_group_IT_number 86
_cell_length_a 9.149
_cell_length_b 9.149
_cell_length_c 16.369
_cell_angle_alpha 90.00
_cell_angle_beta 90.00
_cell_angle_gamma 90.00
loop_
_space_group_symop_operation_xyz
'x,y,z'
'-x,-y,-z'
'-y,x+1/2,z+1/2'
'y,-x+1/2,-z+1/2'
'-x+1/2,-y+1/2,z'
'x+1/2,y+1/2,-z'
'y+1/2,-x,z+1/2'
'-y+1/2,x,-z+1/2'
loop_
_atom_site_label
_atom_site_fract_x
_atom_site_fract_y
_atom_site_fract_z
La1 0.041 0.348 0.123
La2 0.056 0.354 0.601
La3 0.250 0.750 0.113
S1 0.030 0.801 0.249
S2 0.049 0.349 0.424
S3 0.054 0.352 0.938
S4 0.081 0.891 0.750
S5 0.250 0.250 0.250
S6 0.250 0.750 0.433
# DFT formation energy = -2250 meV per atom



No. 7
# Na2Hf3MgSi2S4O24 GGA-PBE relaxed
data_Na2Hf3MgSi2S4O24
_chemical_formula_sum 'Na6 Hf9 Mg3 Si6 S12 O72'
_space_group_name_H-M_alt 'P 1'
_space_group_IT_number 1
_cell_length_a 8.849
_cell_length_b 8.856
_cell_length_c 23.165
_cell_angle_alpha 89.74
_cell_angle_beta 89.72
_cell_angle_gamma 60.05
loop_
_space_group_symop_operation_xyz
'x,y,z'
loop_
_atom_site_label
_atom_site_fract_x
_atom_site_fract_y
_atom_site_fract_z
Na1 0.000 0.000 0.000
Na2 0.008 0.964 0.493
Na3 0.307 0.365 0.655
Na4 0.325 0.295 0.163
Na5 0.673 0.674 0.829
Na6 0.691 0.661 0.329
Hf1 0.301 0.339 0.310
Hf2 0.310 0.345 0.811
Hf3 0.639 0.680 0.980
Hf4 0.648 0.671 0.476
Hf5 0.649 0.684 0.187
Hf6 0.650 0.667 0.684
Hf7 0.972 0.005 0.350
Hf8 0.982 0.015 0.146
Hf9 0.995 0.982 0.644
Mg1 0.311 0.363 0.518
Mg2 0.317 0.324 0.020
Mg3 0.978 0.994 0.850
Si1 0.027 0.632 0.418
Si2 0.348 0.971 0.082
Si3 0.362 0.660 0.582
Si4 0.687 0.013 0.247
Si5 0.977 0.714 0.752
Si6 0.978 0.298 0.249
S1 0.025 0.332 0.915
S2 0.272 0.004 0.750
S3 0.272 0.715 0.248
S4 0.316 0.050 0.418
S5 0.317 0.626 0.917
S6 0.605 0.335 0.417
S7 0.610 0.049 0.916
S8 0.646 0.382 0.080
S9 0.646 0.964 0.581
S10 0.697 0.291 0.751
S11 0.942 0.376 0.582
S12 0.943 0.668 0.079
O1 0.003 0.827 0.410
O2 0.005 0.178 0.907
O3 0.007 0.803 0.693
O4 0.012 0.177 0.191
O5 0.114 0.355 0.862
O6 0.116 0.518 0.072
O7 0.118 0.346 0.578
O8 0.118 0.518 0.359
O9 0.127 0.315 0.966
O10 0.132 0.547 0.475
O11 0.148 0.324 0.253
O12 0.155 0.517 0.757
O13 0.162 0.028 0.412
O14 0.162 0.974 0.083
O15 0.165 0.035 0.698
O16 0.166 0.796 0.196
O17 0.168 0.843 0.587
O18 0.169 0.803 0.910
O19 0.192 0.821 0.300
O20 0.192 0.982 0.802
O21 0.291 0.541 0.254
O22 0.299 0.158 0.756
O23 0.300 0.539 0.968
O24 0.302 0.148 0.470
O25 0.332 0.158 0.078
O26 0.338 0.519 0.863
O27 0.341 0.130 0.364
O28 0.347 0.489 0.581
O29 0.447 0.695 0.242
O30 0.449 0.848 0.742
O31 0.452 0.848 0.023
O32 0.461 0.685 0.526
O33 0.470 0.859 0.136
O34 0.472 0.659 0.639
O35 0.475 0.870 0.421
O36 0.485 0.634 0.919
O37 0.487 0.129 0.576
O38 0.489 0.371 0.072
O39 0.501 0.189 0.255
O40 0.504 0.128 0.863
O41 0.505 0.356 0.364
O42 0.519 0.150 0.967
O43 0.520 0.306 0.757
O44 0.530 0.308 0.469
O45 0.624 0.495 0.422
O46 0.631 0.867 0.920
O47 0.634 0.481 0.132
O48 0.636 0.872 0.634
O49 0.661 0.842 0.242
O50 0.666 0.472 0.743
O51 0.676 0.466 0.027
O52 0.683 0.850 0.530
O53 0.777 0.189 0.698
O54 0.783 0.031 0.911
O55 0.786 0.022 0.189
O56 0.787 0.185 0.411
O57 0.801 0.989 0.588
O58 0.802 0.216 0.802
O59 0.802 0.484 0.240
O60 0.805 0.204 0.083
O61 0.809 0.977 0.304
O62 0.812 0.682 0.742
O63 0.829 0.654 0.421
O64 0.832 0.685 0.028
O65 0.836 0.463 0.531
O66 0.849 0.494 0.918
O67 0.856 0.488 0.634
O68 0.861 0.643 0.132
O69 0.942 0.209 0.590
O70 0.948 0.832 0.083
O71 0.950 0.825 0.809
O72 0.967 0.201 0.306
# DFT formation energy = -2758 meV per atom



No. 8
# Cs2AsAuF6 GGA-PBE relaxed
data_Cs2AsAuF6
_chemical_formula_sum 'Cs8 As4 Au4 F24'
_space_group_name_H-M_alt 'F m -3 m'
_space_group_IT_number 225
_space_group_name_Hall '-F 4 2 3'
_cell_length_a 9.254
_cell_length_b 9.254
_cell_length_c 9.254
_cell_angle_alpha 90.00
_cell_angle_beta 90.00
_cell_angle_gamma 90.00
loop_
_atom_site_label
_atom_site_fract_x
_atom_site_fract_y
_atom_site_fract_z
Cs1 0.250 0.250 0.250
As1 0.000 0.000 0.000
Au1 0.000 0.000 0.500
F1 0.000 0.000 0.224
# DFT formation energy = -2269 meV per atom